{
  "formula": "BaCaI4",
  "functional": "PBE",
  "state": "optimized geometry",
  "total_energy_ev_per_atom": -3.30,
  "e_above_lowest_polymorph_ev_per_fu": 0.38,
  "lattice_angstrom": [[2.880, 1.663, 9.222], [-2.880, 1.663, 9.222], [0.000, -3.326, 9.222]],
  "species": ["Ba", "Ca", "I", "I", "I", "I"],
  "frac_coords": [[0.000, 0.000, 0.000], [0.500, 0.500, 0.500], [0.131, 0.131, 0.131], [0.381, 0.381, 0.381], [0.619, 0.619, 0.619], [0.869, 0.869, 0.869]]
}

=====

{
  "formula": "BaCaI4",
  "functional": "PBE",
  "state": "optimized geometry",
  "total_energy_ev_per_atom": -3.29,
  "e_above_lowest_polymorph_ev_per_fu": 0.42,
  "lattice_angstrom": [[5.700, 0.000, 0.000], [0.000, 5.700, 0.000], [0.000, 0.000, 8.168]],
  "species": ["Ba", "Ca", "I", "I", "I", "I"],
  "frac_coords": [[0.000, 0.000, 0.000], [0.500, 0.500, 0.500], [0.000, 0.500, 0.265], [0.000, 0.500, 0.735], [0.500, 0.000, 0.265], [0.500, 0.000, 0.735]]
}

=====

{
  "formula": "Ba2CaI6",
  "functional": "PBE",
  "state": "optimized geometry",
  "total_energy_ev_per_atom": -3.32,
  "lattice_angstrom": [[4.661, -7.955, 0.000], [4.661, 7.955, 0.000], [-0.477, 0.000, 10.194]],
  "species": ["Ba", "Ba", "Ba", "Ba", "Ca", "Ca", "I", "I", "I", "I", "I", "I", "I", "I", "I", "I", "I", "I"],
  "frac_coords": [[0.107, 0.780, 0.513], [0.220, 0.893, 0.987], [0.780, 0.107, 0.013], [0.893, 0.220, 0.487], [0.452, 0.548, 0.750], [0.548, 0.452, 0.250], [0.062, 0.490, 0.786], [0.156, 0.197, 0.157], [0.197, 0.156, 0.657], [0.317, 0.553, 0.451], [0.447, 0.683, 0.049], [0.490, 0.062, 0.286], [0.510, 0.938, 0.714], [0.553, 0.317, 0.951], [0.683, 0.447, 0.549], [0.803, 0.844, 0.343], [0.844, 0.803, 0.843], [0.938, 0.510, 0.214]]
}

=====

{
  "formula": "BaCaI4",
  "functional": "PBE",
  "state": "optimized geometry",
  "total_energy_ev_per_atom": -3.30,
  "e_above_lowest_polymorph_ev_per_fu": 0.38,
  "lattice_angstrom": [[9.091, 0.000, 0.000], [0.000, 11.478, 0.000], [0.000, 0.000, 11.118]],
  "species": ["Ba", "Ba", "Ba", "Ba", "Ca", "Ca", "Ca", "Ca", "I", "I", "I", "I", "I", "I", "I", "I", "I", "I", "I", "I", "I", "I", "I", "I"],
  "frac_coords": [[0.181, 0.250, 0.250], [0.319, 0.750, 0.250], [0.681, 0.250, 0.750], [0.819, 0.750, 0.750], [0.250, 0.000, 0.683], [0.250, 0.500, 0.817], [0.750, 0.000, 0.317], [0.750, 0.500, 0.183], [0.037, 0.533, 0.310], [0.037, 0.967, 0.190], [0.145, 0.708, 0.956], [0.145, 0.792, 0.544], [0.355, 0.208, 0.544], [0.355, 0.292, 0.956], [0.463, 0.033, 0.190], [0.463, 0.467, 0.310], [0.537, 0.533, 0.690], [0.537, 0.967, 0.810], [0.645, 0.708, 0.044], [0.645, 0.792, 0.456], [0.855, 0.208, 0.456], [0.855, 0.292, 0.044], [0.963, 0.033, 0.810], [0.963, 0.467, 0.690]]
}

=====

{
  "formula": "BaCaI4",
  "functional": "PBE",
  "state": "optimized geometry",
  "total_energy_ev_per_atom": -3.36,
  "e_above_lowest_polymorph_ev_per_fu": 0.00,
  "lattice_angstrom": [[8.037, 0.000, 0.000], [0.000, 8.341, 0.000], [-1.572, 0.000, 8.177]],
  "species": ["Ba", "Ba", "Ca", "Ca", "I", "I", "I", "I", "I", "I", "I", "I"],
  "frac_coords": [[0.000, 0.228, 0.250], [0.000, 0.772, 0.750], [0.500, 0.330, 0.750], [0.500, 0.670, 0.250], [0.253, 0.443, 0.989], [0.253, 0.557, 0.489], [0.257, 0.060, 0.593], [0.257, 0.940, 0.093], [0.743, 0.060, 0.907], [0.743, 0.940, 0.407], [0.747, 0.443, 0.511], [0.747, 0.557, 0.011]]
}

=====

{
  "formula": "Ba2CaI6",
  "functional": "PBE",
  "state": "optimized geometry",
  "total_energy_ev_per_atom": -3.36,
  "lattice_angstrom": [[8.313, 0.000, 0.000], [0.000, 8.313, 0.000], [0.000, 0.000, 24.640]],
  "species": ["Ba", "Ba", "Ba", "Ba", "Ba", "Ba", "Ba", "Ba", "Ca", "Ca", "Ca", "Ca", "I", "I", "I", "I", "I", "I", "I", "I", "I", "I", "I", "I", "I", "I", "I", "I", "I", "I", "I", "I", "I", "I", "I", "I"],
  "frac_coords": [[0.000, 0.000, 0.166], [0.000, 0.000, 0.834], [0.000, 0.500, 0.336], [0.000, 0.500, 0.664], [0.500, 0.000, 0.336], [0.500, 0.000, 0.664], [0.500, 0.500, 0.166], [0.500, 0.500, 0.834], [0.000, 0.000, 0.500], [0.000, 0.500, 0.000], [0.500, 0.000, 0.000], [0.500, 0.500, 0.500], [0.197, 0.298, 0.917], [0.200, 0.200, 0.581], [0.200, 0.800, 0.419], [0.202, 0.303, 0.083], [0.241, 0.746, 0.749], [0.246, 0.741, 0.251], [0.254, 0.241, 0.251], [0.259, 0.246, 0.749], [0.298, 0.803, 0.083], [0.300, 0.300, 0.419], [0.300, 0.700, 0.581], [0.303, 0.798, 0.917], [0.697, 0.202, 0.917], [0.700, 0.300, 0.581], [0.700, 0.700, 0.419], [0.702, 0.197, 0.083], [0.741, 0.754, 0.749], [0.746, 0.759, 0.251], [0.754, 0.259, 0.251], [0.759, 0.254, 0.749], [0.798, 0.697, 0.083], [0.800, 0.200, 0.419], [0.800, 0.800, 0.581], [0.803, 0.702, 0.917]]
}

=====

{
  "formula": "Ba2CaI6",
  "functional": "PBE",
  "state": "optimized geometry",
  "total_energy_ev_per_atom": -3.37,
  "lattice_angstrom": [[23.739, 0.000, 0.000], [0.000, 9.440, 0.000], [0.000, 0.000, 8.295]],
  "species": ["Ba", "Ba", "Ba", "Ba", "Ba", "Ba", "Ba", "Ba", "Ca", "Ca", "Ca", "Ca", "I", "I", "I", "I", "I", "I", "I", "I", "I", "I", "I", "I", "I", "I", "I", "I", "I", "I", "I", "I", "I", "I", "I", "I"],
  "frac_coords": [[0.159, 0.166, 0.233], [0.159, 0.834, 0.733], [0.341, 0.334, 0.733], [0.341, 0.666, 0.233], [0.659, 0.334, 0.767], [0.659, 0.666, 0.267], [0.841, 0.166, 0.267], [0.841, 0.834, 0.767], [0.000, 0.351, 0.750], [0.000, 0.649, 0.250], [0.500, 0.149, 0.250], [0.500, 0.851, 0.750], [0.076, 0.117, 0.579], [0.076, 0.421, 0.051], [0.076, 0.579, 0.551], [0.076, 0.883, 0.079], [0.239, 0.110, 0.887], [0.239, 0.890, 0.387], [0.261, 0.390, 0.387], [0.261, 0.610, 0.887], [0.424, 0.079, 0.551], [0.424, 0.383, 0.079], [0.424, 0.617, 0.579], [0.424, 0.921, 0.051], [0.576, 0.079, 0.949], [0.576, 0.383, 0.421], [0.576, 0.617, 0.921], [0.576, 0.921, 0.449], [0.739, 0.390, 0.113], [0.739, 0.610, 0.613], [0.761, 0.110, 0.613], [0.761, 0.890, 0.113], [0.924, 0.117, 0.921], [0.924, 0.421, 0.449], [0.924, 0.579, 0.949], [0.924, 0.883, 0.421]]
}

=====

{
  "formula": "Ba2CaI6",
  "functional": "PBE",
  "state": "optimized geometry",
  "total_energy_ev_per_atom": -3.40,
  "lattice_angstrom": [[7.939, 0.000, 0.000], [0.000, 9.083, 0.000], [-7.707, 0.000, 11.251]],
  "species": ["Ba", "Ba", "Ba", "Ba", "Ca", "Ca", "I", "I", "I", "I", "I", "I", "I", "I", "I", "I", "I", "I"],
  "frac_coords": [[0.220, 0.109, 0.254], [0.220, 0.391, 0.754], [0.780, 0.609, 0.246], [0.780, 0.891, 0.746], [0.500, 0.000, 0.000], [0.500, 0.500, 0.500], [0.111, 0.173, 0.938], [0.111, 0.327, 0.438], [0.280, 0.692, 0.941], [0.280, 0.808, 0.441], [0.364, 0.033, 0.738], [0.364, 0.467, 0.238], [0.636, 0.533, 0.762], [0.636, 0.967, 0.262], [0.720, 0.192, 0.559], [0.720, 0.308, 0.059], [0.889, 0.673, 0.562], [0.889, 0.827, 0.062]]
}

=====

{
  "formula": "Ba2CaI6",
  "functional": "PBE",
  "state": "optimized geometry",
  "total_energy_ev_per_atom": -3.37,
  "lattice_angstrom": [[7.898, 0.000, 0.000], [0.000, 7.898, 0.000], [0.000, 0.000, 15.328]],
  "species": ["Ba", "Ba", "Ba", "Ba", "Ca", "Ca", "I", "I", "I", "I", "I", "I", "I", "I", "I", "I", "I", "I"],
  "frac_coords": [[0.000, 0.000, 0.166], [0.000, 0.000, 0.834], [0.500, 0.500, 0.334], [0.500, 0.500, 0.666], [0.000, 0.000, 0.500], [0.500, 0.500, 0.000], [0.189, 0.189, 0.345], [0.189, 0.189, 0.655], [0.213, 0.213, 0.000], [0.287, 0.713, 0.500], [0.311, 0.689, 0.155], [0.311, 0.689, 0.845], [0.689, 0.311, 0.155], [0.689, 0.311, 0.845], [0.713, 0.287, 0.500], [0.787, 0.787, 0.000], [0.811, 0.811, 0.345], [0.811, 0.811, 0.655]]
}

=====

{
  "formula": "Ba2CaI6",
  "functional": "PBE",
  "state": "optimized geometry",
  "total_energy_ev_per_atom": -3.37,
  "lattice_angstrom": [[9.969, 0.000, 0.000], [0.000, 18.333, 0.000], [-5.847, 0.000, 9.405]],
  "species": ["Ba", "Ba", "Ba", "Ba", "Ba", "Ba", "Ba", "Ba", "Ca", "Ca", "Ca", "Ca", "I", "I", "I", "I", "I", "I", "I", "I", "I", "I", "I", "I", "I", "I", "I", "I", "I", "I", "I", "I", "I", "I", "I", "I"],
  "frac_coords": [[0.219, 0.078, 0.451], [0.219, 0.422, 0.951], [0.257, 0.744, 0.007], [0.257, 0.756, 0.507], [0.743, 0.244, 0.493], [0.743, 0.256, 0.993], [0.781, 0.578, 0.049], [0.781, 0.922, 0.549], [0.323, 0.089, 0.023], [0.323, 0.411, 0.523], [0.677, 0.589, 0.477], [0.677, 0.911, 0.977], [0.038, 0.721, 0.155], [0.038, 0.779, 0.655], [0.064, 0.076, 0.686], [0.064, 0.424, 0.186], [0.066, 0.102, 0.095], [0.066, 0.398, 0.595], [0.409, 0.582, 0.548], [0.409, 0.918, 0.048], [0.455, 0.242, 0.606], [0.455, 0.258, 0.106], [0.458, 0.575, 0.128], [0.458, 0.925, 0.628], [0.542, 0.075, 0.372], [0.542, 0.425, 0.872], [0.545, 0.742, 0.894], [0.545, 0.758, 0.394], [0.591, 0.082, 0.952], [0.591, 0.418, 0.452], [0.934, 0.602, 0.405], [0.934, 0.898, 0.905], [0.936, 0.576, 0.814], [0.936, 0.924, 0.314], [0.962, 0.221, 0.345], [0.962, 0.279, 0.845]]
}

=====

{
  "formula": "BaCaI4",
  "functional": "PBE",
  "state": "optimized geometry",
  "total_energy_ev_per_atom": -3.32,
  "e_above_lowest_polymorph_ev_per_fu": 0.25,
  "lattice_angstrom": [[9.663, 0.000, 0.000], [0.000, 7.409, 0.000], [-9.379, 0.000, 16.587]],
  "species": ["Ba", "Ba", "Ba", "Ba", "Ca", "Ca", "Ca", "Ca", "I", "I", "I", "I", "I", "I", "I", "I", "I", "I", "I", "I", "I", "I", "I", "I"],
  "frac_coords": [[0.005, 0.149, 0.127], [0.005, 0.351, 0.627], [0.995, 0.649, 0.373], [0.995, 0.851, 0.873], [0.498, 0.084, 0.873], [0.498, 0.416, 0.373], [0.502, 0.584, 0.627], [0.502, 0.916, 0.127], [0.153, 0.226, 0.826], [0.153, 0.274, 0.326], [0.156, 0.730, 0.579], [0.156, 0.770, 0.079], [0.398, 0.743, 0.450], [0.398, 0.757, 0.950], [0.400, 0.239, 0.695], [0.400, 0.261, 0.195], [0.600, 0.739, 0.805], [0.600, 0.761, 0.305], [0.602, 0.243, 0.050], [0.602, 0.257, 0.550], [0.844, 0.230, 0.921], [0.844, 0.270, 0.421], [0.847, 0.726, 0.674], [0.847, 0.774, 0.174]]
}

=====

{
  "formula": "Ba2CaI6",
  "functional": "PBE",
  "state": "optimized geometry",
  "total_energy_ev_per_atom": -3.37,
  "lattice_angstrom": [[7.698, 0.000, 0.000], [0.000, 28.208, 0.000], [0.000, 0.000, 8.536]],
  "species": ["Ba", "Ba", "Ba", "Ba", "Ba", "Ba", "Ba", "Ba", "Ca", "Ca", "Ca", "Ca", "I", "I", "I", "I", "I", "I", "I", "I", "I", "I", "I", "I", "I", "I", "I", "I", "I", "I", "I", "I", "I", "I", "I", "I"],
  "frac_coords": [[0.000, 0.049, 0.250], [0.000, 0.284, 0.750], [0.000, 0.716, 0.250], [0.000, 0.951, 0.750], [0.500, 0.216, 0.250], [0.500, 0.451, 0.750], [0.500, 0.549, 0.250], [0.500, 0.784, 0.750], [0.000, 0.382, 0.250], [0.000, 0.618, 0.750], [0.500, 0.118, 0.750], [0.500, 0.882, 0.250], [0.230, 0.372, 0.554], [0.230, 0.628, 0.054], [0.231, 0.302, 0.091], [0.231, 0.698, 0.591], [0.248, 0.458, 0.089], [0.248, 0.542, 0.589], [0.252, 0.042, 0.589], [0.252, 0.958, 0.089], [0.269, 0.198, 0.591], [0.269, 0.802, 0.091], [0.270, 0.128, 0.054], [0.270, 0.872, 0.554], [0.730, 0.128, 0.446], [0.730, 0.872, 0.946], [0.731, 0.198, 0.909], [0.731, 0.802, 0.409], [0.748, 0.042, 0.911], [0.748, 0.958, 0.411], [0.752, 0.458, 0.411], [0.752, 0.542, 0.911], [0.769, 0.302, 0.409], [0.769, 0.698, 0.909], [0.770, 0.372, 0.946], [0.770, 0.628, 0.446]]
}

=====

{
  "formula": "BaCaI4",
  "functional": "PBE",
  "state": "optimized geometry",
  "total_energy_ev_per_atom": -3.31,
  "e_above_lowest_polymorph_ev_per_fu": 0.30,
  "lattice_angstrom": [[3.042, -11.046, 0.000], [3.042, 11.046, 0.000], [0.000, 0.000, 8.301]],
  "species": ["Ba", "Ba", "Ca", "Ca", "I", "I", "I", "I", "I", "I", "I", "I"],
  "frac_coords": [[0.163, 0.837, 0.500], [0.837, 0.163, 0.000], [0.409, 0.591, 0.581], [0.591, 0.409, 0.081], [0.091, 0.909, 0.113], [0.287, 0.713, 0.786], [0.331, 0.669, 0.270], [0.461, 0.539, 0.937], [0.539, 0.461, 0.437], [0.669, 0.331, 0.770], [0.713, 0.287, 0.286], [0.909, 0.091, 0.613]]
}

=====

{
  "formula": "Ba2CaI6",
  "functional": "PBE",
  "state": "optimized geometry",
  "total_energy_ev_per_atom": -3.38,
  "lattice_angstrom": [[10.734, 0.000, 0.000], [0.000, 9.650, 0.000], [-10.316, 0.000, 15.153]],
  "species": ["Ba", "Ba", "Ba", "Ba", "Ba", "Ba", "Ba", "Ba", "Ca", "Ca", "Ca", "Ca", "I", "I", "I", "I", "I", "I", "I", "I", "I", "I", "I", "I", "I", "I", "I", "I", "I", "I", "I", "I", "I", "I", "I", "I"],
  "frac_coords": [[0.143, 0.104, 0.291], [0.143, 0.396, 0.791], [0.209, 0.712, 0.095], [0.209, 0.788, 0.595], [0.791, 0.212, 0.405], [0.791, 0.288, 0.905], [0.857, 0.604, 0.209], [0.857, 0.896, 0.709], [0.430, 0.145, 0.070], [0.430, 0.355, 0.570], [0.570, 0.645, 0.430], [0.570, 0.855, 0.930], [0.067, 0.107, 0.636], [0.067, 0.393, 0.136], [0.089, 0.061, 0.926], [0.089, 0.439, 0.426], [0.230, 0.739, 0.298], [0.230, 0.761, 0.798], [0.337, 0.054, 0.522], [0.337, 0.446, 0.022], [0.395, 0.058, 0.219], [0.395, 0.442, 0.719], [0.474, 0.165, 0.914], [0.474, 0.335, 0.414], [0.526, 0.665, 0.586], [0.526, 0.835, 0.086], [0.605, 0.558, 0.281], [0.605, 0.942, 0.781], [0.663, 0.554, 0.978], [0.663, 0.946, 0.478], [0.770, 0.239, 0.202], [0.770, 0.261, 0.702], [0.911, 0.561, 0.574], [0.911, 0.939, 0.074], [0.933, 0.607, 0.864], [0.933, 0.893, 0.364]]
}